Entry 1:
# K3Co, relaxed, DFT PBE
# - DFT formation energy (eV/atom) = 0.814
# - energy relative to the lowest polymorph listed for this composition (kJ/mol of formula units) = 29
# - V (A^3/atom) = 46.497
data_K3Co
_chemical_formula_sum 'K6 Co2'
_symmetry_space_group_name_H-M 'I 4/m m m'
_symmetry_Int_Tables_number 139
_symmetry_space_group_name_Hall '-I 4 2'
_cell_length_a 5.909
_cell_length_b 5.909
_cell_length_c 10.652
_cell_angle_alpha 90.00
_cell_angle_beta 90.00
_cell_angle_gamma 90.00
loop_
_atom_site_label
_atom_site_type_symbol
_atom_site_fract_x
_atom_site_fract_y
_atom_site_fract_z
K1 K 0.000 0.000 0.000
K2 K 0.000 0.500 0.250
Co1 Co 0.000 0.000 0.500

***

Entry 2:
# VCu13SnAs2S16, relaxed, DFT PBE
# - DFT formation energy (eV/atom) = -0.565
# - V (A^3/atom) = 18.572
data_VCu13SnAs2S16
_chemical_formula_sum 'V4 Cu52 Sn4 As8 S64'
_symmetry_space_group_name_H-M 'C 1 c 1'
_symmetry_Int_Tables_number 9
_cell_length_a 15.132
_cell_length_b 15.128
_cell_length_c 10.709
_cell_angle_alpha 90.00
_cell_angle_beta 90.00
_cell_angle_gamma 90.00
loop_
_symmetry_equiv_pos_as_xyz
'x,y,z'
'x,-y,z+1/2'
'x+1/2,y+1/2,z'
'x+1/2,-y+1/2,z+1/2'
loop_
_atom_site_label
_atom_site_type_symbol
_atom_site_fract_x
_atom_site_fract_y
_atom_site_fract_z
V1 V 0.000 0.250 0.000
Cu1 Cu 0.000 0.001 0.751
Cu2 Cu 0.000 0.250 0.744
Cu3 Cu 0.001 0.250 0.256
Cu4 Cu 0.001 0.500 0.252
Cu5 Cu 0.125 0.375 0.499
Cu6 Cu 0.128 0.122 0.000
Cu7 Cu 0.128 0.378 0.000
Cu8 Cu 0.249 0.001 0.750
Cu9 Cu 0.249 0.251 0.249
Cu10 Cu 0.250 0.250 0.748
Cu11 Cu 0.372 0.122 0.500
Cu12 Cu 0.372 0.378 0.500
Cu13 Cu 0.375 0.376 0.001
Sn1 Sn 0.375 0.125 0.000
As1 As 0.125 0.125 0.500
As2 As 0.250 0.500 0.250
S1 S 0.000 0.122 0.623
S2 S 0.000 0.129 0.120
S3 S 0.000 0.371 0.121
S4 S 0.007 0.377 0.630
S5 S 0.121 0.250 0.880
S6 S 0.124 0.002 0.373
S7 S 0.125 0.497 0.372
S8 S 0.128 0.250 0.378
S9 S 0.245 0.126 0.134
S10 S 0.247 0.126 0.628
S11 S 0.248 0.375 0.628
S12 S 0.253 0.375 0.129
S13 S 0.372 0.257 0.869
S14 S 0.375 0.498 0.871
S15 S 0.376 0.005 0.365
S16 S 0.379 0.250 0.379

***

Entry 3:
# MnB2W2, relaxed, DFT PBE
# - DFT formation energy (eV/atom) = -0.414
# - V (A^3/atom) = 10.723
data_MnB2W2
_chemical_formula_sum 'Mn2 B4 W4'
_symmetry_space_group_name_H-M 'P 4/m b m'
_symmetry_Int_Tables_number 127
_symmetry_space_group_name_Hall '-P 4 2ab'
_cell_length_a 5.808
_cell_length_b 5.808
_cell_length_c 3.179
_cell_angle_alpha 90.00
_cell_angle_beta 90.00
_cell_angle_gamma 90.00
loop_
_atom_site_label
_atom_site_type_symbol
_atom_site_fract_x
_atom_site_fract_y
_atom_site_fract_z
Mn1 Mn 0.000 0.000 0.000
B1 B 0.114 0.386 0.000
W1 W 0.178 0.678 0.500

***

Entry 4:
# U4TeSe7, relaxed, DFT PBE
# - DFT formation energy (eV/atom) = -1.327
# - V (A^3/atom) = 24.228
data_U4TeSe7
_chemical_formula_sum 'U4 Te1 Se7'
_symmetry_space_group_name_H-M 'P 1 m 1'
_symmetry_Int_Tables_number 6
_cell_length_a 7.614
_cell_length_b 4.171
_cell_length_c 9.157
_cell_angle_alpha 90.00
_cell_angle_beta 90.43
_cell_angle_gamma 90.00
loop_
_symmetry_equiv_pos_as_xyz
'x,y,z'
'x,-y,z'
loop_
_atom_site_label
_atom_site_type_symbol
_atom_site_fract_x
_atom_site_fract_y
_atom_site_fract_z
U1 U 0.000 0.000 0.000
U2 U 0.011 0.500 0.482
U3 U 0.469 0.000 0.757
U4 U 0.502 0.500 0.252
Te1 Te 0.783 0.500 0.785
Se1 Se 0.100 0.000 0.690
Se2 Se 0.218 0.000 0.287
Se3 Se 0.278 0.500 0.958
Se4 Se 0.391 0.500 0.552
Se5 Se 0.606 0.000 0.054
Se6 Se 0.719 0.000 0.458
Se7 Se 0.885 0.500 0.189